! V2ZnP2O9, relaxed, DFT PBE+U; values from VASP
&SYSTEM
  ibrav = 0, nat = 56, ntyp = 4
/
ATOMIC_SPECIES
P 30.97 P.upf
V 50.94 V.upf
O 16.00 O.upf
Zn 65.41 Zn.upf
CELL_PARAMETERS angstrom
6.305 0.000 0.000
0.000 7.446 0.000
0.000 0.000 14.325
ATOMIC_POSITIONS crystal
P 0.250 0.114 0.306
P 0.250 0.634 0.429
P 0.750 0.134 0.071
P 0.250 0.386 0.806
P 0.250 0.866 0.929
P 0.750 0.366 0.571
P 0.750 0.614 0.194
P 0.750 0.886 0.694
V 0.500 0.500 0.000
V 0.750 0.853 0.878
V 0.500 0.000 0.500
V 0.250 0.147 0.122
V 0.750 0.647 0.378
V 0.000 0.500 0.000
V 0.000 0.000 0.500
V 0.250 0.353 0.622
O 0.539 0.605 0.136
O 0.961 0.895 0.636
O 0.750 0.988 0.999
O 0.062 0.622 0.359
O 0.562 0.122 0.141
O 0.562 0.378 0.641
O 0.039 0.105 0.364
O 0.250 0.488 0.501
O 0.250 0.368 0.047
O 0.750 0.868 0.453
O 0.438 0.878 0.859
O 0.938 0.378 0.641
O 0.750 0.323 0.025
O 0.938 0.122 0.141
O 0.539 0.895 0.636
O 0.461 0.105 0.364
O 0.250 0.538 0.732
O 0.750 0.632 0.953
O 0.438 0.622 0.359
O 0.750 0.793 0.253
O 0.250 0.207 0.747
O 0.750 0.707 0.753
O 0.750 0.038 0.768
O 0.961 0.605 0.136
O 0.750 0.512 0.499
O 0.250 0.677 0.975
O 0.250 0.293 0.247
O 0.750 0.177 0.525
O 0.250 0.823 0.475
O 0.039 0.395 0.864
O 0.750 0.462 0.268
O 0.250 0.132 0.547
O 0.250 0.962 0.232
O 0.461 0.395 0.864
O 0.250 0.012 0.001
O 0.062 0.878 0.859
Zn 0.250 0.930 0.731
Zn 0.750 0.430 0.769
Zn 0.250 0.570 0.231
Zn 0.750 0.070 0.269
! - Electronic total energy: -402.57 eV per cell
! - Formation energy from the elements: -244.24 kJ per mole of atoms
! - Total energy after the MP2020 corrections: -110.225 eV/f.u.